Crystalline Mg4Si3 at its relaxed geometry, computed with PBE.

Space-group type: P1, No. 1
Energy above the lowest structure with this stoichiometry in meV per atom: 106.5
Total DFT energy (no corrections) in eV per formula unit: -22.12
Formation enthalpy at 0 K in kJ/mol of atoms: 10.6
Magnetization in μB per formula unit: 0.00
Crystal system: triclinic

Cell: 5.4817 7.5186 7.7709 Å, 104.45 110.26 104.96°
Closest atoms and distances in Å follow each position.
Fractional coordinates of all 14 atoms:
Mg 0.5734 0.4957 0.0532  3 Si 2.67-2.82, 2 Mg 2.94-2.96
Si 0.8058 0.9588 0.6535  2 Si 2.53-2.57, 3 Mg 2.76-2.82
Si 0.4243 0.7965 0.0017  1 Si 2.57, 5 Mg 2.67-2.84
Mg 0.3807 0.0263 0.7524  5 Si 2.82-2.92, 1 Mg 3.06
Mg 0.7222 0.1967 0.2017  5 Si 2.69-2.96, 1 Mg 2.94
Mg 0.0373 0.9633 0.0317  4 Si 2.76-2.92
Mg 0.8981 0.5977 0.5290  5 Si 2.88-3.11, 4 Mg 2.90-3.17
Si 0.4902 0.2227 0.4947  2 Si 2.48-2.67
Si 0.2924 0.3750 0.2585  1 Si 2.48, 1 Mg 2.73
Mg 0.4793 0.5961 0.6762  5 Si 2.76-2.93, 2 Mg 2.90-2.99
Mg 0.2923 0.7587 0.3166  5 Si 2.79-2.95
Mg 0.9466 0.3883 0.8845  4 Si 2.76-3.02, 2 Mg 2.96-3.02
Si 0.0518 0.2341 0.5678  3 Si 2.47-2.67, 1 Mg 2.69
Si 0.8556 0.8901 0.3283  3 Si 2.47-2.57